Material: MnP2O7
Method: DFT, PBE+U
State: relaxed

The structure in CIF format:
```
data_MnP2O7
_chemical_formula_sum 'Mn8 P16 O56'
_space_group_name_H-M_alt 'P 1 21/c 1'
_space_group_IT_number 14
_cell_length_a 7.908
_cell_length_b 15.709
_cell_length_c 7.812
_cell_angle_alpha 90.00
_cell_angle_beta 91.25
_cell_angle_gamma 90.00
loop_
_space_group_symop_operation_xyz
'x,y,z'
'-x,-y,-z'
'-x,y+1/2,-z+1/2'
'x,-y+1/2,z+1/2'
loop_
_atom_site_label
_atom_site_fract_x
_atom_site_fract_y
_atom_site_fract_z
Mn1 0.152 0.134 0.010
Mn2 0.341 0.626 0.980
P1 0.042 0.172 0.609
P2 0.219 0.571 0.370
P3 0.276 0.066 0.402
P4 0.463 0.678 0.599
O1 0.020 0.155 0.800
O2 0.064 0.630 0.374
O3 0.123 0.089 0.526
O4 0.130 0.684 0.982
O5 0.160 0.246 0.564
O6 0.178 0.013 0.956
O7 0.251 0.528 0.859
O8 0.268 0.119 0.237
O9 0.285 0.565 0.188
O10 0.354 0.148 0.880
O11 0.363 0.671 0.761
O12 0.379 0.614 0.465
O13 0.433 0.082 0.513
O14 0.457 0.730 0.046
```

Output
Polymorph energy (0 for the lowest one)   0.0400 eV per atom
Energy of formation from the pure elements   -2.344 eV per atom

Material: Li2CoSiO4
Method: DFT, PBE+U
State: relaxed

The structure in CIF format:
```
data_Li2CoSiO4
_chemical_formula_sum 'Li16 Co8 Si8 O32'
_space_group_name_H-M_alt 'P c a 21'
_space_group_IT_number 29
_cell_length_a 10.434
_cell_length_b 5.295
_cell_length_c 13.021
_cell_angle_alpha 90.00
_cell_angle_beta 90.00
_cell_angle_gamma 90.00
loop_
_space_group_symop_operation_xyz
'x,y,z'
'-x,-y,z+1/2'
'-x+1/2,y,z+1/2'
'x+1/2,-y,z'
loop_
_atom_site_label
_atom_site_fract_x
_atom_site_fract_y
_atom_site_fract_z
Li1 0.037 0.052 0.000
Li2 0.049 0.555 0.373
Li3 0.214 0.370 0.233
Li4 0.217 0.866 0.136
Co1 0.038 0.950 0.749
Co2 0.209 0.537 0.993
Si1 0.034 0.457 0.622
Si2 0.208 0.041 0.378
O1 0.010 0.844 0.127
O2 0.024 0.403 0.226
O3 0.030 0.426 0.016
O4 0.060 0.931 0.372
O5 0.191 0.509 0.623
O6 0.206 0.353 0.385
O7 0.213 0.916 0.975
O8 0.225 0.993 0.764
```

Output
Polymorph energy (0 for the lowest one)   0.0466 eV per atom
Energy of formation from the pure elements   -2.468 eV per atom

Material: Mo3Cl4O9
Method: DFT, PBE+U
State: relaxed

The structure in CIF format:
```
data_Mo3Cl4O9
_chemical_formula_sum 'Mo18 Cl24 O54'
_space_group_name_H-M_alt 'R -3 m'
_space_group_IT_number 166
_space_group_name_Hall '-R 3 2"'
_cell_length_a 12.8543
_cell_length_b 12.8543
_cell_length_c 13.9260
_cell_angle_alpha 90.00
_cell_angle_beta 90.00
_cell_angle_gamma 120.00
loop_
_atom_site_label
_atom_site_fract_x
_atom_site_fract_y
_atom_site_fract_z
Mo1 0.0986 0.1971 0.3213
Cl1 0.0000 0.0000 0.2273
Cl2 0.1018 0.2037 0.6030
O1 0.0127 0.5063 0.9067
O2 0.0740 0.2450 0.9159
```

Output
Energy of formation from the pure elements   -0.386 eV per atom

Material: NaMo6O17
Method: DFT, PBE+U
State: relaxed

The structure in CIF format:
```
data_NaMo6O17
_chemical_formula_sum 'Na2 Mo12 O34'
_space_group_name_H-M_alt 'P 1 21/m 1'
_space_group_IT_number 11
_cell_length_a 9.777
_cell_length_b 5.659
_cell_length_c 13.413
_cell_angle_alpha 90.00
_cell_angle_beta 90.55
_cell_angle_gamma 90.00
loop_
_space_group_symop_operation_xyz
'x,y,z'
'-x,-y,-z'
'-x,y+1/2,-z'
'x,-y+1/2,z'
loop_
_atom_site_label
_atom_site_fract_x
_atom_site_fract_y
_atom_site_fract_z
Na1 0.076 0.250 0.097
Mo1 0.066 0.250 0.799
Mo2 0.083 0.250 0.362
Mo3 0.276 0.750 0.506
Mo4 0.310 0.750 0.008
Mo5 0.404 0.250 0.182
Mo6 0.415 0.250 0.671
O1 0.023 0.012 0.244
O2 0.055 0.250 0.929
O3 0.088 0.750 0.593
O4 0.156 0.006 0.428
O5 0.183 0.750 0.916
O6 0.240 0.250 0.759
O7 0.260 0.250 0.264
O8 0.288 0.012 0.086
O9 0.344 0.506 0.590
O10 0.401 0.750 0.410
O11 0.475 0.750 0.950
O12 0.499 0.004 0.232
```

Output
Energy of formation from the pure elements   -1.986 eV per atom

Material: CaMnO2
Method: DFT, PBE+U
State: relaxed

The structure in CIF format:
```
data_CaMnO2
_chemical_formula_sum 'Ca4 Mn4 O8'
_space_group_name_H-M_alt 'P n m a'
_space_group_IT_number 62
_cell_length_a 11.403
_cell_length_b 3.213
_cell_length_c 5.726
_cell_angle_alpha 90.00
_cell_angle_beta 90.00
_cell_angle_gamma 90.00
loop_
_space_group_symop_operation_xyz
'x,y,z'
'-x,-y,-z'
'-x+1/2,-y,z+1/2'
'x+1/2,y,-z+1/2'
'x+1/2,-y+1/2,-z+1/2'
'-x+1/2,y+1/2,z+1/2'
'-x,y+1/2,-z'
'x,-y+1/2,z'
loop_
_atom_site_label
_atom_site_fract_x
_atom_site_fract_y
_atom_site_fract_z
Ca1 0.135 0.250 0.005
Mn1 0.112 0.250 0.509
O1 0.048 0.750 0.265
O2 0.195 0.750 0.726
```

Output
Energy of formation from the pure elements   -2.486 eV per atom

Material: Li3V3P8O29
Method: DFT, PBE+U
State: relaxed

The structure in CIF format:
```
data_Li3V3P8O29
_chemical_formula_sum 'Li6 V6 P16 O58'
_space_group_name_H-M_alt 'P 1'
_space_group_IT_number 1
_cell_length_a 9.759
_cell_length_b 9.760
_cell_length_c 14.428
_cell_angle_alpha 89.50
_cell_angle_beta 89.94
_cell_angle_gamma 60.06
loop_
_space_group_symop_operation_xyz
'x,y,z'
loop_
_atom_site_label
_atom_site_fract_x
_atom_site_fract_y
_atom_site_fract_z
Li1 0.000 0.000 0.000
Li2 0.012 0.853 0.513
Li3 0.106 0.074 0.400
Li4 0.360 0.795 0.948
Li5 0.412 0.450 0.007
Li6 0.544 0.468 0.509
V1 0.320 0.334 0.198
V2 0.322 0.204 0.698
V3 0.752 0.777 0.198
V4 0.754 0.343 0.703
V5 0.883 0.206 0.196
V6 0.883 0.765 0.703
P1 0.002 0.860 0.295
P2 0.006 0.995 0.789
P3 0.092 0.092 0.612
P4 0.098 0.690 0.115
P5 0.233 0.547 0.614
P6 0.237 0.076 0.106
P7 0.405 0.459 0.793
P8 0.408 0.995 0.288
P9 0.540 0.853 0.786
P10 0.550 0.448 0.292
P11 0.625 0.553 0.115
P12 0.631 0.688 0.605
P13 0.656 0.106 0.081
P14 0.657 0.108 0.583
P15 0.985 0.437 0.313
P16 0.992 0.432 0.816
O1 0.060 0.118 0.114
O2 0.061 0.689 0.612
O3 0.066 0.793 0.388
O4 0.081 0.014 0.525
O5 0.090 0.980 0.878
O6 0.109 0.785 0.038
O7 0.115 0.978 0.701
O8 0.122 0.754 0.214
O9 0.136 0.286 0.771
O10 0.138 0.427 0.265
O11 0.228 0.392 0.628
O12 0.235 0.514 0.112
O13 0.238 0.114 0.615
O14 0.245 0.230 0.117
O15 0.304 0.575 0.710
O16 0.309 0.979 0.023
O17 0.318 0.005 0.372
O18 0.320 0.974 0.199
O19 0.328 0.546 0.533
O20 0.345 0.537 0.884
O21 0.404 0.303 0.779
O22 0.405 0.426 0.275
O23 0.408 0.029 0.777
O24 0.416 0.150 0.268
O25 0.506 0.117 0.629
O26 0.508 0.260 0.117
O27 0.521 0.567 0.036
O28 0.521 0.776 0.870
O29 0.523 0.771 0.695
O30 0.536 0.571 0.213
O31 0.554 0.768 0.518
O32 0.559 0.506 0.384
O33 0.576 0.429 0.777
O34 0.579 0.856 0.281
O35 0.649 0.962 0.125
O36 0.656 0.115 0.481
O37 0.662 0.514 0.613
O38 0.663 0.254 0.626
O39 0.664 0.689 0.117
O40 0.672 0.104 0.978
O41 0.701 0.289 0.267
O42 0.703 0.847 0.778
O43 0.783 0.392 0.122
O44 0.792 0.680 0.628
O45 0.802 0.954 0.624
O46 0.811 0.096 0.125
O47 0.839 0.440 0.773
O48 0.843 0.869 0.271
O49 0.845 0.588 0.269
O50 0.850 0.155 0.777
O51 0.937 0.694 0.123
O52 0.941 0.251 0.630
O53 0.971 0.857 0.778
O54 0.981 0.290 0.271
O55 0.985 0.028 0.283
O56 0.991 0.434 0.919
O57 0.993 0.582 0.771
O58 0.994 0.426 0.415
```

Output
Polymorph energy (0 for the lowest one)   0.0083 eV per atom
Energy of formation from the pure elements   -2.525 eV per atom

Material: MgNi4O8
Method: DFT, PBE+U
State: relaxed

The structure in CIF format:
```
data_MgNi4O8
_chemical_formula_sum 'Mg3 Ni12 O24'
_space_group_name_H-M_alt 'R -3 m'
_space_group_IT_number 166
_space_group_name_Hall '-R 3 2"'
_cell_length_a 5.7031
_cell_length_b 5.7031
_cell_length_c 14.8375
_cell_angle_alpha 90.00
_cell_angle_beta 90.00
_cell_angle_gamma 120.00
loop_
_atom_site_label
_atom_site_fract_x
_atom_site_fract_y
_atom_site_fract_z
Mg1 0.0000 0.0000 0.0000
Ni1 0.0000 0.0000 0.5000
Ni2 0.0000 0.5000 0.5000
O1 0.0000 0.0000 0.2307
O2 0.0262 0.5131 0.7649
```

Output
Polymorph energy (0 for the lowest one)   0.0000 eV per atom
Energy of formation from the pure elements   -1.187 eV per atom

Material: CaV2O4
Method: DFT, PBE+U
State: relaxed

The structure in CIF format:
```
data_CaV2O4
_chemical_formula_sum 'Ca4 V8 O16'
_space_group_name_H-M_alt 'P 1 m 1'
_space_group_IT_number 6
_cell_length_a 6.381
_cell_length_b 6.237
_cell_length_c 8.894
_cell_angle_alpha 90.00
_cell_angle_beta 92.37
_cell_angle_gamma 90.00
loop_
_space_group_symop_operation_xyz
'x,y,z'
'x,-y,z'
loop_
_atom_site_label
_atom_site_fract_x
_atom_site_fract_y
_atom_site_fract_z
Ca1 0.000 0.000 0.000
Ca2 0.247 0.000 0.377
Ca3 0.499 0.500 0.499
Ca4 0.747 0.500 0.878
V1 0.003 0.500 0.501
V2 0.249 0.256 0.748
V3 0.260 0.500 0.120
V4 0.503 0.000 0.001
V5 0.750 0.244 0.247
V6 0.760 0.000 0.620
O1 0.005 0.500 0.246
O2 0.026 0.500 0.736
O3 0.030 0.000 0.742
O4 0.224 0.278 0.525
O5 0.270 0.245 0.986
O6 0.448 0.500 0.749
O7 0.506 0.000 0.746
O8 0.526 0.000 0.236
O9 0.529 0.500 0.241
O10 0.724 0.222 0.026
O11 0.771 0.256 0.486
O12 0.948 0.000 0.249
```

Output
Polymorph energy (0 for the lowest one)   0.0919 eV per atom
Energy of formation from the pure elements   -2.710 eV per atom